[1]
Density functional theory data (GGA-PBE) for NaTmGeO4 after structural relaxation.

a b c (Å): 11.3927 6.4275 5.3014
angles (deg): 90.00 90.00 90.00
Atoms (fractional coordinates):
Na 0.0000 0.0000 0.0000
Na 0.0000 0.5000 0.0000
Na 0.5000 0.0000 0.5000
Na 0.5000 0.5000 0.5000
Tm 0.2231 0.2500 0.4938
Tm 0.2769 0.7500 0.9938
Tm 0.7231 0.2500 0.0062
Tm 0.7769 0.7500 0.5062
Ge 0.0986 0.7500 0.5513
Ge 0.4014 0.2500 0.0513
Ge 0.5986 0.7500 0.9487
Ge 0.9014 0.2500 0.4487
O 0.0462 0.2500 0.3313
O 0.1124 0.7500 0.2234
O 0.1764 0.5407 0.7074
O 0.1764 0.9593 0.7074
O 0.3236 0.0407 0.2074
O 0.3236 0.4593 0.2074
O 0.3876 0.2500 0.7234
O 0.4538 0.7500 0.8313
O 0.5462 0.2500 0.1687
O 0.6124 0.7500 0.2766
O 0.6764 0.5407 0.7926
O 0.6764 0.9593 0.7926
O 0.8236 0.0407 0.2926
O 0.8236 0.4593 0.2926
O 0.8876 0.2500 0.7766
O 0.9538 0.7500 0.6687

Calculated values
Magnetic moment in μB/atom: 0.000
Formation energy in kJ per mole of atoms: -280
Calculated total energy in eV per atom: -6.8230



[2]
Density functional theory data (GGA-PBE) for Na4Zr2Ge5O17 after structural relaxation.

a b c (Å): 7.1931 5.5370 21.4682
angles (deg): 90.00 107.01 90.00
Atoms (fractional coordinates):
Na 0.1151 0.2398 0.4737
Na 0.1151 0.7602 0.9737
Na 0.2502 0.0070 0.2884
Na 0.2502 0.9930 0.7884
Na 0.7498 0.0070 0.2116
Na 0.7498 0.9930 0.7116
Na 0.8849 0.2398 0.0263
Na 0.8849 0.7602 0.5263
Zr 0.3849 0.2344 0.0893
Zr 0.3849 0.7656 0.5893
Zr 0.6151 0.2344 0.4107
Zr 0.6151 0.7656 0.9107
Ge 0.1477 0.2579 0.6351
Ge 0.1477 0.7421 0.1351
Ge 0.3078 0.2862 0.9215
Ge 0.3078 0.7138 0.4215
Ge 0.5000 0.4913 0.7500
Ge 0.5000 0.5087 0.2500
Ge 0.6922 0.2862 0.5785
Ge 0.6922 0.7138 0.0785
Ge 0.8523 0.2579 0.8649
Ge 0.8523 0.7421 0.3649
O 0.0000 0.3056 0.2500
O 0.0000 0.6944 0.7500
O 0.0882 0.2922 0.8526
O 0.0882 0.7078 0.3526
O 0.1561 0.0403 0.1096
O 0.1561 0.9597 0.6096
O 0.1886 0.4671 0.5794
O 0.1886 0.5329 0.0794
O 0.2462 0.1689 0.9893
O 0.2462 0.8311 0.4893
O 0.3006 0.2866 0.7178
O 0.3006 0.7134 0.2178
O 0.3844 0.4120 0.4358
O 0.3844 0.5880 0.9358
O 0.4580 0.0905 0.8937
O 0.4580 0.9095 0.3937
O 0.4722 0.3313 0.3135
O 0.4722 0.6687 0.8135
O 0.5278 0.3313 0.1865
O 0.5278 0.6687 0.6865
O 0.5420 0.0905 0.6063
O 0.5420 0.9095 0.1063
O 0.6156 0.4120 0.0642
O 0.6156 0.5880 0.5642
O 0.6994 0.2866 0.7822
O 0.6994 0.7134 0.2822
O 0.7538 0.1689 0.5107
O 0.7538 0.8311 0.0107
O 0.8114 0.4671 0.9206
O 0.8114 0.5329 0.4206
O 0.8439 0.0403 0.3904
O 0.8439 0.9597 0.8904
O 0.9118 0.2922 0.6474
O 0.9118 0.7078 0.1474

Calculated values
Magnetic moment in μB/atom: 0.071
Formation energy in kJ per mole of atoms: -227
Calculated total energy in eV per atom: -6.5693



[3]
Density functional theory data (GGA-PBE) for Na2ZrGeO5 after structural relaxation.

a b c (Å): 14.3019 5.6241 14.0617
angles (deg): 90.00 119.06 90.00
Atoms (fractional coordinates):
Na 0.0759 0.2342 0.1472
Na 0.0759 0.2658 0.6472
Na 0.1796 0.7289 0.8279
Na 0.1796 0.7711 0.3279
Na 0.3205 0.2391 0.1501
Na 0.3205 0.2609 0.6501
Na 0.4222 0.7303 0.0703
Na 0.4222 0.7697 0.5703
Na 0.5778 0.2303 0.4297
Na 0.5778 0.2697 0.9297
Na 0.6795 0.7391 0.3499
Na 0.6795 0.7609 0.8499
Na 0.8204 0.2289 0.6721
Na 0.8204 0.2711 0.1721
Na 0.9241 0.7342 0.3528
Na 0.9241 0.7658 0.8528
Zr 0.0634 0.2333 0.8687
Zr 0.0634 0.2667 0.3687
Zr 0.4371 0.7376 0.8055
Zr 0.4371 0.7624 0.3055
Zr 0.5629 0.2376 0.6945
Zr 0.5629 0.2624 0.1945
Zr 0.9366 0.7333 0.6313
Zr 0.9366 0.7667 0.1313
Ge 0.1592 0.7169 0.0658
Ge 0.1592 0.7831 0.5658
Ge 0.3404 0.2190 0.9077
Ge 0.3404 0.2810 0.4077
Ge 0.6596 0.7190 0.5923
Ge 0.6596 0.7810 0.0923
Ge 0.8408 0.2169 0.4342
Ge 0.8408 0.2831 0.9342
O 0.0023 0.5255 0.7717
O 0.0023 0.9745 0.2717
O 0.0881 0.6917 0.6335
O 0.0881 0.8083 0.1335
O 0.1218 0.5995 0.4516
O 0.1218 0.9005 0.9516
O 0.1344 0.0903 0.5293
O 0.1344 0.4097 0.0293
O 0.2024 0.2166 0.3531
O 0.2024 0.2834 0.8531
O 0.2986 0.7502 0.1504
O 0.2986 0.7498 0.6504
O 0.3587 0.5888 0.3897
O 0.3587 0.9112 0.8897
O 0.3865 0.0974 0.3381
O 0.3865 0.4026 0.8381
O 0.4106 0.2082 0.5477
O 0.4106 0.2918 0.0477
O 0.4923 0.0346 0.7662
O 0.4923 0.4654 0.2662
O 0.5077 0.5346 0.7338
O 0.5077 0.9654 0.2338
O 0.5894 0.7082 0.9523
O 0.5894 0.7918 0.4523
O 0.6135 0.5974 0.1619
O 0.6135 0.9026 0.6619
O 0.6413 0.0888 0.1103
O 0.6413 0.4112 0.6103
O 0.7014 0.2502 0.3496
O 0.7014 0.2498 0.8496
O 0.7976 0.7166 0.1469
O 0.7976 0.7834 0.6469
O 0.8656 0.5903 0.9707
O 0.8656 0.9097 0.4707
O 0.8782 0.0995 0.0484
O 0.8782 0.4005 0.5484
O 0.9119 0.1917 0.8665
O 0.9119 0.3083 0.3665
O 0.9977 0.0255 0.7283
O 0.9977 0.4745 0.2283

Calculated values
Magnetic moment in μB/atom: 0.000
Formation energy in kJ per mole of atoms: -260
Calculated total energy in eV per atom: -6.8149



[4]
Density functional theory data (GGA-PBE) for NaGe2Pd3 after structural relaxation.

a b c (Å): 6.8808 6.8808 6.8808
angles (deg): 115.32 87.05 128.59
Atoms (fractional coordinates):
Na 0.4503 0.2003 0.2500
Na 0.5497 0.7997 0.7500
Ge 0.1126 0.6871 0.4255
Ge 0.2384 0.3129 0.9255
Ge 0.7616 0.6871 0.0745
Ge 0.8874 0.3129 0.5745
Pd 0.0000 0.0000 0.5000
Pd 0.0000 0.2009 0.2009
Pd 0.0000 0.5000 0.0000
Pd 0.0000 0.7991 0.7991
Pd 0.5000 0.2009 0.7009
Pd 0.5000 0.7991 0.2991

Calculated values
Magnetic moment in μB/atom: 0.000
Formation energy in kJ per mole of atoms: -48
Calculated total energy in eV per atom: -4.8518



- calculated total energy of number 3 (Na2ZrGeO5)?
  -6.8149 eV per atom